[1]
Density functional theory data (r2SCAN) for an optimized crystal structure of Al11TlO17.

As for the crystal system: orthorhombic. The calculation puts the formation energy at -3.215 eV per atom.

Cell lengths 5.593, 5.593, 22.857 Å; angles 90.00, 90.00, 120.00 degrees
Positions (direct):
Al1 0.335 0.168 0.605
Al2 0.335 0.168 0.895
Al3 0.667 0.334 0.325
Al4 0.667 0.334 0.475
Al5 0.667 0.334 0.175
Al6 0.001 0.001 0.500
Al7 0.001 0.001 0.000
Al8 0.667 0.334 0.025
Al9 0.833 0.168 0.895
Al10 0.833 0.168 0.605
Al11 0.833 0.666 0.895
Al12 0.833 0.666 0.605
Al13 0.168 0.335 0.105
Al14 0.168 0.335 0.395
Al15 0.168 0.833 0.105
Al16 0.334 0.667 0.825
Al17 0.334 0.667 0.675
Al18 0.334 0.667 0.525
Al19 0.334 0.667 0.975
Al20 0.168 0.833 0.395
Al21 0.666 0.833 0.395
Al22 0.666 0.833 0.105
Tl1 0.668 0.337 0.750
Tl2 0.337 0.668 0.250
O1 0.314 0.157 0.451
O2 0.314 0.157 0.049
O3 0.502 0.003 0.643
O4 0.502 0.003 0.857
O5 0.666 0.333 0.250
O6 0.844 0.157 0.049
O7 0.667 0.334 0.555
O8 0.001 0.001 0.360
O9 0.001 0.001 0.140
O10 0.001 0.001 0.860
O11 0.001 0.001 0.640
O12 0.667 0.334 0.945
O13 0.502 0.500 0.643
O14 0.844 0.157 0.451
O15 0.502 0.500 0.857
O16 0.157 0.314 0.951
O17 0.157 0.314 0.549
O18 0.998 0.500 0.643
O19 0.998 0.500 0.857
O20 0.003 0.502 0.357
O21 0.003 0.502 0.143
O22 0.844 0.687 0.451
O23 0.844 0.687 0.049
O24 0.500 0.502 0.143
O25 0.333 0.666 0.750
O26 0.334 0.667 0.055
O27 0.500 0.502 0.357
O28 0.157 0.844 0.549
O29 0.157 0.844 0.951
O30 0.334 0.667 0.445
O31 0.500 0.998 0.357
O32 0.500 0.998 0.143
O33 0.687 0.844 0.951
O34 0.687 0.844 0.549


[2]
Density functional theory data (r2SCAN) for an optimized crystal structure of AlVO3.

The calculation puts the formation energy at -2.963 eV per atom.

Cell lengths 4.881, 9.449, 4.881 Å; angles 75.04, 120.00, 104.95 degrees
Positions (direct):
Al1 0.075 0.225 0.925
Al2 0.575 0.725 0.425
Al3 0.425 0.275 0.575
Al4 0.925 0.775 0.075
V1 0.176 0.527 0.824
V2 0.324 0.973 0.676
V3 0.676 0.027 0.324
V4 0.824 0.473 0.176
O1 0.422 0.368 0.190
O2 0.922 0.868 0.690
O3 0.690 0.132 0.637
O4 0.190 0.632 0.137
O5 0.363 0.132 0.922
O6 0.863 0.632 0.422
O7 0.137 0.368 0.578
O8 0.637 0.868 0.078
O9 0.810 0.368 0.863
O10 0.310 0.868 0.363
O11 0.078 0.132 0.310
O12 0.578 0.632 0.810


[3]
Density functional theory data (r2SCAN) for an optimized crystal structure of Al2W3O12.

As for the crystal system: monoclinic. The calculation puts the formation energy at -2.574 eV per atom.

Cell lengths 9.165, 9.087, 15.547 Å; angles 54.19, 90.00, 90.00 degrees
Positions (direct):
Al1 0.465 0.131 0.120
Al2 0.965 0.869 0.380
Al3 0.535 0.869 0.880
Al4 0.035 0.131 0.620
Al5 0.465 0.370 0.380
Al6 0.965 0.630 0.120
Al7 0.535 0.630 0.620
Al8 0.035 0.370 0.880
W1 0.250 0.523 0.501
W2 0.750 0.477 0.999
W3 0.750 0.477 0.499
W4 0.250 0.523 0.001
W5 0.120 0.957 0.145
W6 0.620 0.043 0.355
W7 0.880 0.043 0.855
W8 0.380 0.957 0.645
W9 0.119 0.247 0.355
W10 0.619 0.753 0.145
W11 0.881 0.753 0.645
W12 0.381 0.247 0.855
O1 0.116 0.697 0.436
O2 0.616 0.303 0.064
O3 0.884 0.303 0.564
O4 0.384 0.697 0.936
O5 0.382 0.573 0.564
O6 0.882 0.427 0.936
O7 0.618 0.427 0.436
O8 0.118 0.573 0.064
O9 0.166 0.311 0.598
O10 0.666 0.689 0.902
O11 0.834 0.689 0.402
O12 0.334 0.311 0.098
O13 0.336 0.504 0.405
O14 0.836 0.496 0.095
O15 0.664 0.496 0.595
O16 0.164 0.504 0.905
O17 0.308 0.965 0.170
O18 0.808 0.035 0.330
O19 0.692 0.035 0.830
O20 0.192 0.965 0.670
O21 0.092 0.766 0.142
O22 0.592 0.234 0.358
O23 0.908 0.234 0.858
O24 0.408 0.766 0.642
O25 0.074 0.159 0.019
O26 0.574 0.841 0.481
O27 0.926 0.841 0.981
O28 0.426 0.159 0.519
O29 0.008 0.940 0.244
O30 0.508 0.060 0.256
O31 0.992 0.060 0.756
O32 0.492 0.940 0.744
O33 0.093 0.046 0.362
O34 0.593 0.954 0.138
O35 0.907 0.954 0.638
O36 0.407 0.046 0.862
O37 0.005 0.424 0.255
O38 0.505 0.576 0.245
O39 0.995 0.576 0.745
O40 0.495 0.424 0.755
O41 0.074 0.204 0.479
O42 0.574 0.796 0.021
O43 0.926 0.796 0.521
O44 0.426 0.204 0.979
O45 0.307 0.309 0.328
O46 0.807 0.691 0.172
O47 0.693 0.691 0.672
O48 0.193 0.309 0.828


[4]
Density functional theory data (r2SCAN) for an optimized crystal structure of Y3Al5O12.

As for the crystal system: cubic. The calculation puts the formation energy at -3.616 eV per atom.

Cell lengths 10.395, 10.395, 10.395 Å; angles 109.47, 109.47, 109.47 degrees
Positions (direct):
Y1 0.875 0.750 0.625
Y2 0.875 0.625 0.250
Y3 0.625 0.875 0.750
Y4 0.250 0.875 0.625
Y5 0.750 0.625 0.875
Y6 0.625 0.250 0.875
Y7 0.125 0.250 0.375
Y8 0.125 0.375 0.750
Y9 0.375 0.125 0.250
Y10 0.750 0.125 0.375
Y11 0.250 0.375 0.125
Y12 0.375 0.750 0.125
Al1 0.125 0.750 0.875
Al2 0.875 0.250 0.125
Al3 0.750 0.375 0.625
Al4 0.125 0.875 0.250
Al5 0.250 0.125 0.875
Al6 0.375 0.625 0.750
Al7 0.375 0.250 0.625
Al8 0.875 0.125 0.750
Al9 0.625 0.375 0.250
Al10 0.750 0.875 0.125
Al11 0.250 0.625 0.375
Al12 0.625 0.750 0.375
Al13 0.500 0.000 0.500
Al14 0.000 0.500 0.000
Al15 0.500 0.500 0.500
Al16 0.000 0.000 0.500
Al17 0.000 0.000 0.000
Al18 0.000 0.500 0.500
Al19 0.500 0.500 0.000
Al20 0.500 0.000 0.000
O1 0.882 0.402 0.081
O2 0.081 0.882 0.402
O3 0.699 0.520 0.618
O4 0.680 0.098 0.980
O5 0.520 0.402 0.820
O6 0.419 0.820 0.801
O7 0.081 0.699 0.680
O8 0.402 0.081 0.882
O9 0.980 0.801 0.882
O10 0.680 0.081 0.699
O11 0.402 0.820 0.520
O12 0.098 0.618 0.419
O13 0.618 0.419 0.098
O14 0.699 0.680 0.081
O15 0.882 0.980 0.801
O16 0.801 0.882 0.980
O17 0.820 0.520 0.402
O18 0.618 0.699 0.520
O19 0.820 0.801 0.419
O20 0.020 0.199 0.118
O21 0.980 0.680 0.098
O22 0.098 0.980 0.680
O23 0.801 0.419 0.820
O24 0.419 0.098 0.618
O25 0.118 0.598 0.919
O26 0.919 0.118 0.598
O27 0.301 0.480 0.382
O28 0.320 0.902 0.020
O29 0.480 0.598 0.180
O30 0.581 0.180 0.199
O31 0.919 0.301 0.320
O32 0.598 0.919 0.118
O33 0.581 0.902 0.382
O34 0.199 0.581 0.180
O35 0.902 0.020 0.320
O36 0.480 0.382 0.301
O37 0.020 0.320 0.902
O38 0.180 0.199 0.581
O39 0.382 0.301 0.480
O40 0.180 0.480 0.598
O41 0.199 0.118 0.020
O42 0.118 0.020 0.199
O43 0.301 0.320 0.919
O44 0.382 0.581 0.902
O45 0.902 0.382 0.581
O46 0.598 0.180 0.480
O47 0.320 0.919 0.301
O48 0.520 0.618 0.699


[5]
Density functional theory data (r2SCAN) for an optimized crystal structure of YbAlO3.

As for the crystal system: cubic. The calculation puts the formation energy at -3.518 eV per atom.

Cell lengths 3.643, 3.643, 3.643 Å; angles 90.00, 90.00, 90.00 degrees
Positions (direct):
Yb1 0.500 0.500 0.500
Al1 0.000 0.000 0.000
O1 0.500 0.000 0.000
O2 0.000 0.000 0.500
O3 0.000 0.500 0.000


[6]
Density functional theory data (r2SCAN) for an optimized crystal structure of YbAlO3.

As for the crystal system: hexagonal. The calculation puts the formation energy at -3.662 eV per atom.

Cell lengths 3.369, 3.369, 11.398 Å; angles 90.00, 90.00, 120.00 degrees
Positions (direct):
Yb1 0.000 0.000 0.000
Yb2 0.000 0.000 0.500
Al1 0.333 0.667 0.250
Al2 0.667 0.333 0.750
O1 0.333 0.667 0.090
O2 0.333 0.667 0.410
O3 0.000 0.000 0.250
O4 0.000 0.000 0.750
O5 0.667 0.333 0.910
O6 0.667 0.333 0.590


Number 1: size of the total moment 0.00 μB per cell, uncorrected energy -11.104 eV per atom. Number 2: size of the total moment 0.00 μB per cell, uncorrected energy -10.711 eV per atom. Number 3: size of the total moment 0.00 μB per cell, uncorrected energy -16.647 eV per atom. Number 4: size of the total moment 0.00 μB per cell, uncorrected energy -11.930 eV per atom. Number 5: size of the total moment 0.00 μB per cell, uncorrected energy -15.753 eV per atom. Number 6: size of the total moment 0.00 μB per cell, uncorrected energy -15.898 eV per atom.